(1)
Tl2CrO4, optimized geometry, DFT PBE with a Hubbard U; E above lowest polymorph = 2.4 meV per atom
1.0
6.513 -2.961 0.000
6.513 2.961 0.000
-5.972 0.000 13.775
Tl Cr O
8 4 16
Direct
0.005 0.005 0.132 Tl
0.121 0.121 0.631 Tl
0.316 0.316 0.886 Tl
0.422 0.422 0.614 Tl
0.578 0.578 0.386 Tl
0.684 0.684 0.114 Tl
0.879 0.879 0.369 Tl
0.995 0.995 0.868 Tl
0.224 0.224 0.361 Cr
0.359 0.359 0.141 Cr
0.641 0.641 0.859 Cr
0.776 0.776 0.639 Cr
0.053 0.590 0.708 O
0.155 0.623 0.210 O
0.172 0.172 0.447 O
0.225 0.225 0.065 O
0.363 0.363 0.414 O
0.377 0.845 0.790 O
0.410 0.947 0.292 O
0.439 0.439 0.077 O
0.561 0.561 0.923 O
0.590 0.053 0.708 O
0.623 0.155 0.210 O
0.637 0.637 0.586 O
0.775 0.775 0.935 O
0.828 0.828 0.553 O
0.845 0.377 0.790 O
0.947 0.410 0.292 O

---

(2)
MgFe6O6F6, optimized geometry, DFT PBE with a Hubbard U; E above lowest polymorph = 44.9 meV per atom
1.0
5.044 0.000 0.000
0.000 3.088 0.000
-0.448 0.000 14.363
Mg Fe O F
1 6 6 6
Direct
0.000 0.000 0.000 Mg
0.087 0.500 0.498 Fe
0.110 0.500 0.816 Fe
0.503 0.000 0.006 Fe
0.515 0.000 0.341 Fe
0.529 0.000 0.658 Fe
0.941 0.500 0.189 Fe
0.223 0.000 0.435 O
0.249 0.500 0.947 O
0.284 0.000 0.765 O
0.367 0.500 0.599 O
0.760 0.500 0.045 O
0.768 0.000 0.249 O
0.203 0.000 0.119 F
0.308 0.500 0.280 F
0.710 0.500 0.415 F
0.771 0.500 0.721 F
0.851 0.000 0.870 F
0.866 0.000 0.568 F

---

(3)
This record from the Materials Project database describes Li32Mn13Cr3O48 after structural relaxation. The functional is PBE with a Hubbard U.

```
Li32Mn13Cr3O48
1.0
4.998 0.000 0.000
0.037 8.676 0.000
1.614 2.787 19.181
Li Mn Cr O
32 13 3 48
Direct
0.000 0.000 0.000 Li
0.000 0.000 0.500 Li
0.007 0.332 0.999 Li
0.008 0.334 0.500 Li
0.017 0.666 0.999 Li
0.018 0.665 0.499 Li
0.132 0.459 0.625 Li
0.136 0.457 0.125 Li
0.252 0.253 0.749 Li
0.255 0.254 0.249 Li
0.256 0.583 0.749 Li
0.258 0.583 0.249 Li
0.264 0.912 0.249 Li
0.264 0.913 0.750 Li
0.382 0.708 0.375 Li
0.383 0.708 0.874 Li
0.499 0.501 0.999 Li
0.500 0.502 0.500 Li
0.506 0.832 0.500 Li
0.508 0.833 0.000 Li
0.515 0.164 0.500 Li
0.515 0.165 0.999 Li
0.631 0.958 0.624 Li
0.633 0.958 0.124 Li
0.752 0.751 0.749 Li
0.752 0.754 0.250 Li
0.757 0.083 0.250 Li
0.758 0.083 0.750 Li
0.760 0.412 0.250 Li
0.764 0.415 0.749 Li
0.880 0.209 0.374 Li
0.883 0.208 0.874 Li
0.133 0.124 0.124 Mn
0.135 0.126 0.624 Mn
0.135 0.793 0.124 Mn
0.382 0.042 0.874 Mn
0.383 0.374 0.875 Mn
0.385 0.376 0.374 Mn
0.630 0.290 0.125 Mn
0.632 0.623 0.625 Mn
0.633 0.291 0.625 Mn
0.881 0.873 0.375 Mn
0.882 0.541 0.875 Mn
0.883 0.541 0.375 Mn
0.883 0.874 0.874 Mn
0.127 0.793 0.624 Cr
0.376 0.043 0.374 Cr
0.640 0.623 0.125 Cr
0.044 0.725 0.319 O
0.044 0.726 0.818 O
0.079 0.048 0.818 O
0.080 0.405 0.318 O
0.080 0.405 0.818 O
0.082 0.045 0.319 O
0.181 0.865 0.431 O
0.185 0.510 0.432 O
0.185 0.510 0.932 O
0.186 0.868 0.930 O
0.221 0.190 0.931 O
0.227 0.190 0.430 O
0.296 0.977 0.068 O
0.296 0.980 0.568 O
0.329 0.298 0.069 O
0.329 0.656 0.067 O
0.330 0.299 0.568 O
0.332 0.656 0.567 O
0.434 0.759 0.181 O
0.435 0.759 0.682 O
0.436 0.117 0.181 O
0.437 0.118 0.680 O
0.469 0.436 0.181 O
0.470 0.439 0.681 O
0.544 0.226 0.818 O
0.547 0.230 0.318 O
0.579 0.548 0.819 O
0.580 0.549 0.318 O
0.580 0.905 0.817 O
0.582 0.907 0.317 O
0.685 0.010 0.931 O
0.686 0.009 0.432 O
0.686 0.368 0.931 O
0.687 0.368 0.431 O
0.720 0.689 0.431 O
0.722 0.690 0.931 O
0.788 0.477 0.069 O
0.795 0.475 0.569 O
0.830 0.155 0.068 O
0.830 0.155 0.567 O
0.832 0.795 0.569 O
0.834 0.800 0.068 O
0.932 0.616 0.681 O
0.935 0.261 0.681 O
0.935 0.620 0.180 O
0.936 0.261 0.181 O
0.972 0.940 0.180 O
0.975 0.940 0.680 O
```

---

(4)
This record from the Materials Project database describes Li5Cr2Fe5O12 after structural relaxation. The functional is PBE with a Hubbard U.

```
Li5Cr2Fe5O12
1.0
2.546 -4.500 0.000
2.546 4.500 0.000
-1.874 0.000 9.598
Li Cr Fe O
5 2 5 12
Direct
0.000 0.000 0.000 Li
0.248 0.250 0.754 Li
0.412 0.086 0.246 Li
0.750 0.752 0.246 Li
0.914 0.588 0.754 Li
0.330 0.670 0.000 Cr
0.831 0.169 0.500 Cr
0.086 0.416 0.247 Fe
0.163 0.837 0.500 Fe
0.505 0.495 0.500 Fe
0.584 0.914 0.753 Fe
0.661 0.339 0.000 Fe
0.034 0.683 0.119 O
0.106 0.131 0.374 O
0.202 0.548 0.625 O
0.317 0.966 0.881 O
0.375 0.391 0.118 O
0.452 0.798 0.375 O
0.550 0.191 0.624 O
0.609 0.625 0.882 O
0.699 0.063 0.117 O
0.809 0.450 0.376 O
0.869 0.894 0.626 O
0.937 0.301 0.883 O
```

---

Number 1: energy of formation from the pure elements -1513 meV/atom. Number 2: energy of formation from the pure elements -2099 meV/atom. Number 3: energy of formation from the pure elements -2189 meV/atom. Number 4: energy of formation from the pure elements -1977 meV/atom.